i | The following is a GGA-PBE calculation of MgAg3As2O8 after structural relaxation, from Materials Project.

The structure in POSCAR format:
```
MgAg3As2O8
1.0
6.195 0.172 0.161
0.180 6.230 0.152
0.162 0.150 6.242
Mg Ag As O
1 3 2 8
direct
0.842 0.843 0.839 Mg
0.325 0.546 0.027 Ag
0.542 0.022 0.331 Ag
0.026 0.321 0.543 Ag
0.056 0.059 0.055 As
0.526 0.525 0.528 As
0.186 0.873 0.882 O
0.207 0.210 0.207 O
0.321 0.421 0.694 O
0.418 0.691 0.325 O
0.690 0.319 0.420 O
0.681 0.676 0.675 O
0.882 0.183 0.868 O
0.871 0.884 0.178 O
```

Computed properties:
SG: P1
Calculated volume in Å³/atom: 17.17
Total magnetic moment in μB/cell: 1.0

ii | The following is a GGA-PBE calculation of MgAg3As2O8 after structural relaxation, from Materials Project.

The structure in POSCAR format:
```
MgAg3As2O8
1.0
5.745 0.112 0.208
0.118 5.712 0.104
0.176 0.056 6.710
Mg Ag As O
1 3 2 8
direct
0.040 0.532 0.206 Mg
0.521 0.775 0.003 Ag
0.724 0.023 0.504 Ag
0.003 0.471 0.711 Ag
0.990 0.007 0.014 As
0.507 0.507 0.492 As
0.146 0.749 0.939 O
0.151 0.215 0.109 O
0.364 0.291 0.624 O
0.319 0.652 0.337 O
0.752 0.382 0.358 O
0.638 0.692 0.653 O
0.816 0.124 0.836 O
0.820 0.852 0.202 O
```

Computed properties:
SG: P1
Calculated volume in Å³/atom: 15.70
Total magnetic moment in μB/cell: 1.0

Energy ordering: ii at the bottom, the next structure 100 meV/atom above.

i | The following is a GGA-PBE calculation of Ag3AsS3 after structural relaxation, from Materials Project.

The structure in POSCAR format:
```
Ag3AsS3
1.0
4.440 -5.826 0.000
4.440 5.826 0.000
-3.203 0.000 6.588
Ag As S
6 2 6
direct
0.124 0.543 0.032 Ag
0.532 0.043 0.624 Ag
0.543 0.032 0.124 Ag
0.043 0.624 0.532 Ag
0.032 0.124 0.543 Ag
0.624 0.532 0.043 Ag
0.587 0.587 0.587 As
0.087 0.087 0.087 As
0.681 0.413 0.338 S
0.838 0.913 0.181 S
0.413 0.338 0.681 S
0.913 0.181 0.838 S
0.338 0.681 0.413 S
0.181 0.838 0.913 S
```

Computed properties:
SG: R3c
Calculated volume in Å³/atom: 24.35
Total magnetic moment in μB/cell: 0.0

ii | The following is a GGA-PBE calculation of Ag3AsS3 after structural relaxation, from Materials Project.

The structure in POSCAR format:
```
Ag3AsS3
1.0
4.457 -5.382 0.000
4.457 5.382 0.000
-2.044 0.000 6.682
Ag As S
6 2 6
direct
0.918 0.258 0.472 Ag
0.472 0.918 0.258 Ag
0.258 0.472 0.918 Ag
0.972 0.758 0.418 Ag
0.758 0.418 0.972 Ag
0.418 0.972 0.758 Ag
0.994 0.994 0.994 As
0.494 0.494 0.494 As
0.774 0.098 0.768 S
0.768 0.774 0.098 S
0.268 0.598 0.274 S
0.098 0.768 0.774 S
0.274 0.268 0.598 S
0.598 0.274 0.268 S
```

Computed properties:
SG: R3c
Calculated volume in Å³/atom: 22.90
Largest piezoelectric modulus in C/m2: 0.38

Energy ordering: ii at the bottom, the next structure 19 meV/atom above.

i | The following is a GGA-PBE calculation of Ag3AsS3 after structural relaxation, from Materials Project.

The structure in POSCAR format:
```
Ag3AsS3
1.0
-2.849 0.178 6.267
-2.338 -5.523 3.383
12.037 -4.679 11.383
Ag As S
12 4 12
direct
0.895 0.830 0.215 Ag
0.170 0.105 0.285 Ag
0.683 0.599 0.134 Ag
0.317 0.401 0.866 Ag
0.011 0.859 0.938 Ag
0.859 0.011 0.438 Ag
0.105 0.170 0.785 Ag
0.141 0.989 0.562 Ag
0.401 0.317 0.366 Ag
0.989 0.141 0.062 Ag
0.830 0.895 0.715 Ag
0.599 0.683 0.634 Ag
0.410 0.302 0.072 As
0.698 0.590 0.428 As
0.302 0.410 0.572 As
0.590 0.698 0.928 As
0.346 0.963 0.414 S
0.574 0.283 0.173 S
0.978 0.691 0.359 S
0.309 0.022 0.141 S
0.717 0.426 0.327 S
0.022 0.309 0.641 S
0.691 0.978 0.859 S
0.426 0.717 0.827 S
0.963 0.346 0.914 S
0.037 0.654 0.086 S
0.654 0.037 0.586 S
0.283 0.574 0.673 S
```

Computed properties:
SG: C2/c
Calculated volume in Å³/atom: 22.54

ii | The following is a GGA-PBE calculation of Ag3AsS3 after structural relaxation, from Materials Project.

The structure in POSCAR format:
```
Ag3AsS3
1.0
-3.665 2.261 3.118
4.367 1.631 4.422
3.269 7.593 -6.196
Ag As S
6 2 6
direct
0.629 0.755 0.160 Ag
0.469 0.255 0.840 Ag
0.199 0.458 0.584 Ag
0.125 0.984 0.665 Ag
0.460 0.484 0.335 Ag
0.615 0.958 0.416 Ag
0.132 0.509 0.106 As
0.026 0.009 0.894 As
0.760 0.328 0.537 S
0.223 0.828 0.463 S
0.961 0.977 0.296 S
0.278 0.708 0.947 S
0.331 0.208 0.053 S
0.664 0.477 0.704 S
```

Computed properties:
SG: Cc
Calculated volume in Å³/atom: 24.34
Total magnetic moment in μB/cell: 0.0

Energy ordering: i at the bottom, the next structure 181 meV/atom above.